KHfPCO7 | PBE-GGA | relaxed

Unit cell a=5.7832 b=6.6473 c=9.9762 alpha=90.00 beta=90.92 gamma=90.00
Last column: nearest neighbours and their distance in Å.
Atoms (fractional coordinates):
K  0.2475  0.0000  0.2179  3 O 2.53-2.78
K  0.7525  0.5000  0.7821  3 O 2.53-2.78
Hf  0.2776  0.1745  0.6534  6 O 2.05-2.11
Hf  0.7224  0.6745  0.3466  6 O 2.05-2.11
P  0.2295  0.6803  0.5512  4 O 1.54-1.55
P  0.7705  0.1803  0.4488  4 O 1.54-1.55
C  0.2213  0.2177  0.9050  3 O 1.23-1.35
C  0.7787  0.7177  0.0950  3 O 1.23-1.35
O  0.0210  0.1805  0.5063  1 P 1.55
O  0.0490  0.1974  0.8135  1 C 1.35
O  0.1937  0.2443  0.0259  1 C 1.23
O  0.2696  0.8670  0.6409  1 P 1.55
O  0.2709  0.4917  0.6379  1 P 1.54
O  0.4008  0.6866  0.4334  1 P 1.55
O  0.4276  0.2068  0.8443  1 C 1.35
O  0.5724  0.7068  0.1557  1 C 1.35
O  0.5992  0.1866  0.5666  1 P 1.55
O  0.7291  0.9917  0.3621  1 P 1.54
O  0.7304  0.3670  0.3591  1 P 1.55
O  0.8063  0.7443  0.9741  1 C 1.23
O  0.9510  0.6974  0.1865  1 C 1.35
O  0.9790  0.6805  0.4937  1 P 1.55

volume	383.5	Å³ per cell
piezoelectric modulus e_max	0.56	C/m2
formation energy from the elements	-2.82	eV per atom

---

LiHfPCO7 | PBE-GGA | relaxed

Unit cell a=5.5488 b=6.5991 c=8.8435 alpha=90.00 beta=92.94 gamma=90.00
Last column: nearest neighbours and their distance in Å.
Atoms (fractional coordinates):
Li  0.2471  0.0000  0.1635  3 O 1.93-2.14
Li  0.7529  0.5000  0.8365  3 O 1.93-2.14
Hf  0.2969  0.2948  0.6616  6 O 2.04-2.13
Hf  0.7031  0.7948  0.3384  6 O 2.04-2.13
P  0.2253  0.7987  0.5582  4 O 1.53-1.56
P  0.7747  0.2987  0.4418  4 O 1.53-1.56
C  0.2321  0.3096  0.9475  3 O 1.23-1.35
C  0.7679  0.8096  0.0525  3 O 1.23-1.35
O  0.0487  0.2901  0.4828  1 P 1.55
O  0.0559  0.3384  0.8393  1 C 1.35
O  0.1961  0.2688  0.0806  1 C 1.23
O  0.2881  0.9854  0.6570  1 P 1.54
O  0.3093  0.6071  0.6439  1 P 1.53
O  0.3560  0.8134  0.4068  1 P 1.56
O  0.4489  0.3167  0.8875  1 C 1.34
O  0.5511  0.8167  0.1125  1 C 1.34
O  0.6440  0.3134  0.5932  1 P 1.56
O  0.6907  0.1071  0.3561  1 P 1.53
O  0.7119  0.4854  0.3430  1 P 1.54
O  0.8039  0.7688  0.9194  1 C 1.23
O  0.9441  0.8384  0.1607  1 C 1.35
O  0.9513  0.7901  0.5172  1 P 1.55

volume	323.4	Å³ per cell
piezoelectric modulus e_max	0.25	C/m2
formation energy from the elements	-2.81	eV per atom

---

HfMg14C | PBE-GGA | relaxed

Unit cell a=6.2815 b=6.2815 c=9.8489 alpha=90.00 beta=90.00 gamma=120.00
Last column: nearest neighbours and their distance in Å.
Atoms (fractional coordinates):
Hf  0.0000  0.0000  0.0000  12 Mg 3.11-3.14
Mg  0.0126  0.5063  0.0000  10 Mg 3.02-3.26, 2 Hf 3.14
Mg  0.1556  0.3111  0.2645  1 C 2.87, 8 Mg 2.93-3.19, 1 Hf 3.11
Mg  0.1556  0.3111  0.7355  1 C 2.87, 8 Mg 2.93-3.19, 1 Hf 3.11
Mg  0.1556  0.8444  0.2645  1 C 2.87, 8 Mg 2.93-3.19, 1 Hf 3.11
Mg  0.1556  0.8444  0.7355  1 C 2.87, 8 Mg 2.93-3.19, 1 Hf 3.11
Mg  0.4937  0.5063  0.0000  10 Mg 3.02-3.26, 2 Hf 3.14
Mg  0.4937  0.9874  0.0000  10 Mg 3.02-3.26, 2 Hf 3.14
Mg  0.5039  0.0079  0.5000  10 Mg 3.00-3.21, 2 C 3.14
Mg  0.5039  0.4961  0.5000  10 Mg 3.00-3.21, 2 C 3.14
Mg  0.6667  0.3333  0.2393  12 Mg 3.02-3.15
Mg  0.6667  0.3333  0.7607  12 Mg 3.02-3.15
Mg  0.6889  0.8444  0.2645  1 C 2.87, 8 Mg 2.93-3.19, 1 Hf 3.11
Mg  0.6889  0.8444  0.7355  1 C 2.87, 8 Mg 2.93-3.19, 1 Hf 3.11
Mg  0.9921  0.4961  0.5000  10 Mg 3.00-3.21, 2 C 3.14
C  0.0000  0.0000  0.5000  12 Mg 2.87-3.14

volume	336.5	Å³ per cell
formation energy from the elements	0.31	eV per atom

---

HfMg14C | PBE-GGA | relaxed

Unit cell a=10.1536 b=6.4979 c=6.4979 alpha=53.16 beta=90.00 gamma=90.00
Last column: nearest neighbours and their distance in Å.
Atoms (fractional coordinates):
Hf  0.0000  0.0000  0.0000  10 Mg 2.98-3.33, 2 C 3.05
Mg  0.0000  0.0250  0.4963  1 C 2.31
Mg  0.0000  0.4963  0.0250  1 C 2.31
Mg  0.1468  0.5799  0.5799  1 C 2.38
Mg  0.2484  0.1262  0.6356  7 Mg 2.85-3.18, 1 C 2.96
Mg  0.2484  0.6356  0.1262  7 Mg 2.85-3.18, 1 C 2.96
Mg  0.2513  0.1321  0.1321  1 Hf 2.98, 11 Mg 3.11-3.26
Mg  0.5000  0.4775  0.9727  8 Mg 2.88-3.22
Mg  0.5000  0.4825  0.4825  8 Mg 2.91-3.18
Mg  0.5000  0.9727  0.4775  8 Mg 2.88-3.22
Mg  0.5000  0.9726  0.9726  10 Mg 2.91-3.22
Mg  0.7487  0.1321  0.1321  1 Hf 2.98, 11 Mg 3.11-3.26
Mg  0.7516  0.1262  0.6356  7 Mg 2.85-3.18, 1 C 2.96
Mg  0.7516  0.6356  0.1262  7 Mg 2.85-3.18, 1 C 2.96
Mg  0.8532  0.5799  0.5799  1 C 2.38
C  0.0000  0.4203  0.4203  4 Mg 2.31-2.38

volume	343.1	Å³ per cell
formation energy from the elements	0.25	eV per atom

---

HfMg6CO8 | PBE-GGA | relaxed

Unit cell a=4.2506 b=4.2506 c=9.3599 alpha=90.00 beta=90.00 gamma=90.00
Last column: nearest neighbours and their distance in Å.
Atoms (fractional coordinates):
Hf  0.0000  0.0000  0.0000  6 O 2.04-2.13
Mg  0.0000  0.5000  0.2812  5 O 2.05-2.21
Mg  0.0000  0.5000  0.7188  5 O 2.05-2.21
Mg  0.5000  0.0000  0.2812  5 O 2.05-2.21
Mg  0.5000  0.0000  0.7188  5 O 2.05-2.21
Mg  0.5000  0.5000  0.0000  4 O 2.13
Mg  0.5000  0.5000  0.5000  6 O 2.13-2.27
C  0.0000  0.0000  0.5000  4 O 2.13
O  0.0000  0.0000  0.2181  1 Hf 2.04, 4 Mg 2.21
O  0.0000  0.0000  0.7819  1 Hf 2.04, 4 Mg 2.21
O  0.0000  0.5000  0.0000  2 Hf 2.13, 2 Mg 2.13
O  0.0000  0.5000  0.5000  4 Mg 2.05-2.13, 2 C 2.13
O  0.5000  0.0000  0.0000  2 Hf 2.13, 2 Mg 2.13
O  0.5000  0.0000  0.5000  4 Mg 2.05-2.13, 2 C 2.13
O  0.5000  0.5000  0.2574  5 Mg 2.14-2.27
O  0.5000  0.5000  0.7426  5 Mg 2.14-2.27

volume	169.1	Å³ per cell
formation energy from the elements	-2.39	eV per atom

---

HfMg14CO16 | PBE-GGA | relaxed

Unit cell a=8.7991 b=8.7991 c=4.2084 alpha=90.00 beta=90.00 gamma=90.00
Last column: nearest neighbours and their distance in Å.
Atoms (fractional coordinates):
Hf  0.0000  0.0000  0.0000  6 O 2.09-2.10
Mg  0.0000  0.2680  0.5000  5 O 2.04-2.21
Mg  0.0000  0.5000  0.0000  4 O 1.91-2.10
Mg  0.0000  0.7320  0.5000  5 O 2.04-2.21
Mg  0.2593  0.5000  0.5000  6 O 2.12-2.28
Mg  0.2680  0.0000  0.5000  5 O 2.04-2.21
Mg  0.2715  0.2715  0.0000  4 O 2.07-2.12
Mg  0.2715  0.7285  0.0000  4 O 2.07-2.12
Mg  0.5000  0.0000  0.0000  4 O 1.91-2.10
Mg  0.5000  0.2593  0.5000  6 O 2.12-2.28
Mg  0.5000  0.7407  0.5000  6 O 2.12-2.28
Mg  0.7285  0.2715  0.0000  4 O 2.07-2.12
Mg  0.7285  0.7285  0.0000  4 O 2.07-2.12
Mg  0.7320  0.0000  0.5000  5 O 2.04-2.21
Mg  0.7407  0.5000  0.5000  6 O 2.12-2.28
C  0.5000  0.5000  0.0000  2 O 2.10
O  0.0000  0.0000  0.5000  2 Hf 2.10
O  0.0000  0.2371  0.0000  1 Hf 2.09, 3 Mg 2.12-2.31
O  0.0000  0.5000  0.5000  6 Mg 2.04-2.28
O  0.0000  0.7629  0.0000  1 Hf 2.09, 3 Mg 2.12-2.31
O  0.2173  0.5000  0.0000  5 Mg 1.91-2.14
O  0.2371  0.0000  0.0000  1 Hf 2.09, 3 Mg 2.12-2.31
O  0.2500  0.2500  0.5000  6 Mg 2.12-2.21
O  0.2500  0.7500  0.5000  6 Mg 2.12-2.21
O  0.5000  0.0000  0.5000  6 Mg 2.04-2.28
O  0.5000  0.2173  0.0000  5 Mg 1.91-2.14
O  0.5000  0.5000  0.5000  2 C 2.10, 4 Mg 2.12
O  0.5000  0.7827  0.0000  5 Mg 1.91-2.14
O  0.7500  0.2500  0.5000  6 Mg 2.12-2.21
O  0.7500  0.7500  0.5000  6 Mg 2.12-2.21
O  0.7629  0.0000  0.0000  1 Hf 2.09, 3 Mg 2.12-2.31
O  0.7827  0.5000  0.0000  5 Mg 1.91-2.14

volume	325.8	Å³ per cell
formation energy from the elements	-2.71	eV per atom

---

> Number 2 is which compound?

LiHfPCO7

---

> Which value of volume does entry 3 give?

336.5 Å³ per cell

---

> What is the volume in the fourth record?

343.1 Å³ per cell